Below is a geometry-optimized CdPPd5 structure, with properties calculated at the PBE-GGA level.

Cell lengths 3.9703, 3.9703, 7.0601 Å; angles 90.00, 90.00, 90.00 degrees
Closest atoms and distances in Å follow each position.
Positions (direct):
Cd 0.5000 0.5000 0.0000  12 Pd 2.81-2.91
P 0.0000 0.0000 0.5000  8 Pd 2.43
Pd 0.0000 0.0000 0.0000  4 Cd 2.81, 8 Pd 2.91
Pd 0.5000 0.0000 0.6992  2 P 2.43
Pd 0.0000 0.5000 0.6992  2 P 2.43
Pd 0.5000 0.0000 0.3008  2 P 2.43
Pd 0.0000 0.5000 0.3008  2 P 2.43

Calculated values
- VASP energy: -5.06 eV per atom